Entry P
{
  "formula": "FePH5CO8",
  "functional": "PBE with a Hubbard U",
  "state": "relaxed",
  "cell": [[7.259, 0.000, 0.000], [0.000, 9.775, 0.000], [-1.814, 0.000, 10.415]],
  "species": ["Fe", "Fe", "Fe", "Fe", "P", "P", "P", "P", "H", "H", "H", "H", "H", "H", "H", "H", "H", "H", "H", "H", "H", "H", "H", "H", "H", "H", "H", "H", "C", "C", "C", "C", "O", "O", "O", "O", "O", "O", "O", "O", "O", "O", "O", "O", "O", "O", "O", "O", "O", "O", "O", "O", "O", "O", "O", "O", "O", "O", "O", "O", "O", "O", "O", "O"],
  "frac_coords": [[0.122, 0.206, 0.442], [0.122, 0.294, 0.942], [0.878, 0.706, 0.058], [0.878, 0.794, 0.558], [0.051, 0.608, 0.801], [0.051, 0.892, 0.301], [0.949, 0.108, 0.699], [0.949, 0.392, 0.199], [0.202, 0.670, 0.463], [0.202, 0.830, 0.963], [0.267, 0.635, 0.679], [0.267, 0.865, 0.179], [0.283, 0.520, 0.499], [0.283, 0.980, 0.999], [0.373, 0.196, 0.145], [0.373, 0.304, 0.645], [0.479, 0.169, 0.029], [0.479, 0.331, 0.529], [0.521, 0.669, 0.471], [0.521, 0.831, 0.971], [0.627, 0.696, 0.355], [0.627, 0.804, 0.855], [0.717, 0.020, 0.001], [0.717, 0.480, 0.501], [0.733, 0.135, 0.821], [0.733, 0.365, 0.321], [0.798, 0.170, 0.037], [0.798, 0.330, 0.537], [0.446, 0.569, 0.135], [0.446, 0.931, 0.635], [0.554, 0.069, 0.365], [0.554, 0.431, 0.865], [0.032, 0.703, 0.915], [0.032, 0.797, 0.415], [0.051, 0.043, 0.337], [0.051, 0.457, 0.837], [0.095, 0.136, 0.820], [0.095, 0.364, 0.320], [0.255, 0.649, 0.771], [0.255, 0.851, 0.271], [0.306, 0.618, 0.516], [0.306, 0.882, 0.016], [0.341, 0.018, 0.597], [0.341, 0.482, 0.097], [0.353, 0.180, 0.053], [0.353, 0.320, 0.553], [0.449, 0.158, 0.329], [0.449, 0.342, 0.829], [0.551, 0.658, 0.171], [0.551, 0.842, 0.671], [0.647, 0.680, 0.447], [0.647, 0.820, 0.947], [0.659, 0.518, 0.903], [0.659, 0.982, 0.403], [0.694, 0.118, 0.984], [0.694, 0.382, 0.484], [0.745, 0.149, 0.729], [0.745, 0.351, 0.229], [0.905, 0.636, 0.680], [0.905, 0.864, 0.180], [0.949, 0.543, 0.163], [0.949, 0.957, 0.663], [0.968, 0.203, 0.585], [0.968, 0.297, 0.085]],
  "space_group": "No. 14",
  "m_tot_mub_per_cell": 16.0,
  "mass_density_g_cm3": 2.084
}

Entry Q
{
  "formula": "FePH5CO8",
  "functional": "PBE with a Hubbard U",
  "state": "relaxed",
  "cell": [[7.741, 0.000, 0.000], [0.000, 10.621, 0.000], [-2.327, 0.000, 9.808]],
  "species": ["Fe", "Fe", "Fe", "Fe", "P", "P", "P", "P", "H", "H", "H", "H", "H", "H", "H", "H", "H", "H", "H", "H", "H", "H", "H", "H", "H", "H", "H", "H", "C", "C", "C", "C", "O", "O", "O", "O", "O", "O", "O", "O", "O", "O", "O", "O", "O", "O", "O", "O", "O", "O", "O", "O", "O", "O", "O", "O", "O", "O", "O", "O", "O", "O", "O", "O"],
  "frac_coords": [[0.117, 0.126, 0.374], [0.117, 0.374, 0.874], [0.883, 0.626, 0.126], [0.883, 0.874, 0.626], [0.002, 0.689, 0.850], [0.002, 0.811, 0.350], [0.998, 0.189, 0.650], [0.998, 0.311, 0.150], [0.037, 0.091, 0.856], [0.037, 0.409, 0.356], [0.173, 0.613, 0.362], [0.173, 0.887, 0.862], [0.314, 0.070, 0.620], [0.314, 0.430, 0.120], [0.339, 0.519, 0.595], [0.339, 0.981, 0.095], [0.454, 0.187, 0.343], [0.454, 0.313, 0.843], [0.546, 0.687, 0.157], [0.546, 0.813, 0.657], [0.661, 0.019, 0.905], [0.661, 0.481, 0.405], [0.686, 0.570, 0.880], [0.686, 0.930, 0.380], [0.827, 0.113, 0.138], [0.827, 0.387, 0.638], [0.963, 0.591, 0.644], [0.963, 0.909, 0.144], [0.496, 0.529, 0.060], [0.496, 0.971, 0.560], [0.504, 0.029, 0.440], [0.504, 0.471, 0.940], [0.039, 0.159, 0.184], [0.039, 0.341, 0.684], [0.070, 0.542, 0.871], [0.070, 0.958, 0.371], [0.073, 0.169, 0.819], [0.073, 0.331, 0.319], [0.147, 0.174, 0.566], [0.147, 0.326, 0.066], [0.215, 0.719, 0.927], [0.215, 0.781, 0.427], [0.288, 0.655, 0.408], [0.288, 0.845, 0.908], [0.402, 0.135, 0.406], [0.402, 0.365, 0.906], [0.411, 0.007, 0.653], [0.411, 0.493, 0.153], [0.589, 0.507, 0.847], [0.589, 0.993, 0.347], [0.598, 0.635, 0.094], [0.598, 0.865, 0.594], [0.712, 0.155, 0.092], [0.712, 0.345, 0.592], [0.785, 0.219, 0.573], [0.785, 0.281, 0.073], [0.853, 0.674, 0.934], [0.853, 0.826, 0.434], [0.927, 0.669, 0.681], [0.927, 0.831, 0.181], [0.930, 0.042, 0.629], [0.930, 0.458, 0.129], [0.961, 0.659, 0.316], [0.961, 0.841, 0.816]],
  "space_group": "No. 14",
  "m_tot_mub_per_cell": 24.0,
  "mass_density_g_cm3": 1.910
}

So which one is most stable? That would be entry P, about 58.7 kJ/mol of atoms below the next structure.

Entry P
{
  "formula": "LiFe2C3O9",
  "functional": "PBE with a Hubbard U",
  "state": "relaxed",
  "cell": [[7.518, 0.000, 0.000], [-2.292, 7.253, 0.000], [-2.207, -3.584, 6.379]],
  "species": ["Li", "Li", "Fe", "Fe", "Fe", "Fe", "C", "C", "C", "C", "C", "C", "O", "O", "O", "O", "O", "O", "O", "O", "O", "O", "O", "O", "O", "O", "O", "O", "O", "O"],
  "frac_coords": [[0.000, 0.000, 0.000], [0.489, 0.213, 0.961], [0.141, 0.833, 0.578], [0.243, 0.561, 0.181], [0.737, 0.942, 0.309], [0.858, 0.444, 0.685], [0.089, 0.200, 0.743], [0.298, 0.815, 0.962], [0.501, 0.997, 0.556], [0.631, 0.567, 0.387], [0.878, 0.655, 0.087], [0.954, 0.332, 0.311], [0.016, 0.495, 0.486], [0.035, 0.130, 0.546], [0.050, 0.700, 0.238], [0.062, 0.319, 0.204], [0.092, 0.379, 0.855], [0.103, 0.762, 0.916], [0.141, 0.095, 0.830], [0.385, 0.890, 0.869], [0.407, 0.789, 0.115], [0.421, 0.097, 0.651], [0.423, 0.791, 0.480], [0.468, 0.470, 0.201], [0.637, 0.486, 0.504], [0.663, 0.095, 0.535], [0.766, 0.472, 0.931], [0.774, 0.169, 0.231], [0.782, 0.744, 0.437], [0.828, 0.810, 0.102]],
  "space_group": "No. 1",
  "m_tot_mub_per_cell": 18.0,
  "mass_density_g_cm3": 2.851
}

Entry Q
{
  "formula": "LiFe2C3O9",
  "functional": "PBE with a Hubbard U",
  "state": "relaxed",
  "cell": [[5.874, 0.000, 0.000], [0.000, 4.984, 0.000], [-1.922, 0.000, 5.771]],
  "species": ["Li", "Fe", "Fe", "C", "C", "C", "O", "O", "O", "O", "O", "O", "O", "O", "O"],
  "frac_coords": [[0.000, 0.000, 0.000], [0.183, 0.000, 0.587], [0.852, 0.500, 0.279], [0.314, 0.500, 0.326], [0.532, 0.000, 0.947], [0.924, 0.500, 0.740], [0.195, 0.278, 0.337], [0.195, 0.722, 0.337], [0.311, 0.000, 0.953], [0.511, 0.500, 0.289], [0.539, 0.000, 0.733], [0.720, 0.000, 0.121], [0.885, 0.500, 0.934], [0.938, 0.277, 0.631], [0.938, 0.723, 0.631]],
  "space_group": "No. 6",
  "m_tot_mub_per_cell": 9.0,
  "e_ij_max_c_m2": 0.98,
  "mass_density_g_cm3": 2.936
}

So which one is most stable? That would be entry P, about 7.0 kJ/mol of atoms below the next structure.

Entry P
{
  "formula": "LiFe2C2O7",
  "functional": "PBE with a Hubbard U",
  "state": "relaxed",
  "cell": [[4.872, 0.000, 0.000], [-2.436, 4.219, 0.000], [0.000, 0.000, 15.966]],
  "species": ["Li", "Li", "Fe", "Fe", "Fe", "Fe", "C", "C", "C", "C", "O", "O", "O", "O", "O", "O", "O", "O", "O", "O", "O", "O", "O", "O"],
  "frac_coords": [[0.000, 0.000, 0.000], [0.000, 0.000, 0.500], [0.333, 0.667, 0.146], [0.333, 0.667, 0.377], [0.667, 0.333, 0.646], [0.667, 0.333, 0.877], [0.333, 0.667, 0.598], [0.333, 0.667, 0.929], [0.667, 0.333, 0.098], [0.667, 0.333, 0.429], [0.077, 0.395, 0.928], [0.082, 0.682, 0.598], [0.317, 0.923, 0.928], [0.318, 0.400, 0.598], [0.333, 0.667, 0.255], [0.395, 0.077, 0.428], [0.400, 0.318, 0.098], [0.600, 0.918, 0.598], [0.605, 0.683, 0.928], [0.667, 0.333, 0.755], [0.682, 0.082, 0.098], [0.683, 0.605, 0.428], [0.918, 0.600, 0.098], [0.923, 0.317, 0.428]],
  "space_group": "No. 159",
  "m_tot_mub_per_cell": 18.0,
  "mass_density_g_cm3": 2.577
}

Entry Q
{
  "formula": "LiFe2C2O7",
  "functional": "PBE with a Hubbard U",
  "state": "relaxed",
  "cell": [[7.719, 0.000, 0.000], [0.000, 7.981, 0.000], [-4.383, 0.000, 11.078]],
  "species": ["Li", "Li", "Li", "Li", "Fe", "Fe", "Fe", "Fe", "Fe", "Fe", "Fe", "Fe", "C", "C", "C", "C", "C", "C", "C", "C", "O", "O", "O", "O", "O", "O", "O", "O", "O", "O", "O", "O", "O", "O", "O", "O", "O", "O", "O", "O", "O", "O", "O", "O", "O", "O", "O", "O"],
  "frac_coords": [[0.010, 0.235, 0.403], [0.010, 0.265, 0.903], [0.990, 0.735, 0.097], [0.990, 0.765, 0.597], [0.164, 0.112, 0.645], [0.164, 0.388, 0.145], [0.281, 0.600, 0.386], [0.281, 0.900, 0.886], [0.719, 0.100, 0.114], [0.719, 0.400, 0.614], [0.836, 0.612, 0.855], [0.836, 0.888, 0.355], [0.238, 0.609, 0.963], [0.238, 0.891, 0.463], [0.328, 0.087, 0.087], [0.328, 0.413, 0.587], [0.672, 0.587, 0.413], [0.672, 0.913, 0.913], [0.762, 0.109, 0.537], [0.762, 0.391, 0.037], [0.108, 0.721, 0.962], [0.108, 0.779, 0.462], [0.124, 0.584, 0.228], [0.124, 0.916, 0.728], [0.205, 0.081, 0.976], [0.205, 0.419, 0.476], [0.234, 0.042, 0.498], [0.234, 0.458, 0.998], [0.297, 0.171, 0.169], [0.297, 0.329, 0.669], [0.363, 0.665, 0.924], [0.363, 0.835, 0.424], [0.479, 0.501, 0.611], [0.479, 0.999, 0.111], [0.521, 0.001, 0.889], [0.521, 0.499, 0.389], [0.637, 0.165, 0.576], [0.637, 0.335, 0.076], [0.703, 0.671, 0.331], [0.703, 0.829, 0.831], [0.766, 0.542, 0.002], [0.766, 0.958, 0.502], [0.795, 0.581, 0.524], [0.795, 0.919, 0.024], [0.876, 0.084, 0.272], [0.876, 0.416, 0.772], [0.892, 0.221, 0.538], [0.892, 0.279, 0.038]],
  "space_group": "No. 14",
  "m_tot_mub_per_cell": 4.0,
  "mass_density_g_cm3": 2.478
}

So which one is most stable? That would be entry P, about 1.2 kJ/mol of atoms below the next structure.

Entry P
{
  "formula": "LiFeC2O6",
  "functional": "PBE with a Hubbard U",
  "state": "relaxed",
  "cell": [[7.335, 0.000, 0.000], [0.000, 9.992, 0.000], [-4.902, 0.000, 7.671]],
  "species": ["Li", "Li", "Li", "Li", "Fe", "Fe", "Fe", "Fe", "C", "C", "C", "C", "C", "C", "C", "C", "O", "O", "O", "O", "O", "O", "O", "O", "O", "O", "O", "O", "O", "O", "O", "O", "O", "O", "O", "O", "O", "O", "O", "O"],
  "frac_coords": [[0.158, 0.111, 0.165], [0.158, 0.389, 0.665], [0.842, 0.611, 0.335], [0.842, 0.889, 0.835], [0.014, 0.646, 0.075], [0.014, 0.854, 0.575], [0.986, 0.146, 0.425], [0.986, 0.354, 0.925], [0.032, 0.111, 0.776], [0.032, 0.389, 0.276], [0.406, 0.009, 0.641], [0.406, 0.491, 0.141], [0.594, 0.509, 0.859], [0.594, 0.991, 0.359], [0.968, 0.611, 0.724], [0.968, 0.889, 0.224], [0.023, 0.160, 0.906], [0.023, 0.340, 0.406], [0.034, 0.517, 0.263], [0.034, 0.983, 0.763], [0.037, 0.193, 0.669], [0.037, 0.307, 0.169], [0.293, 0.114, 0.551], [0.293, 0.386, 0.051], [0.301, 0.596, 0.147], [0.301, 0.904, 0.647], [0.392, 0.508, 0.782], [0.392, 0.992, 0.282], [0.608, 0.008, 0.718], [0.608, 0.492, 0.218], [0.699, 0.096, 0.353], [0.699, 0.404, 0.853], [0.707, 0.614, 0.949], [0.707, 0.886, 0.449], [0.963, 0.693, 0.831], [0.963, 0.807, 0.331], [0.966, 0.017, 0.237], [0.966, 0.483, 0.737], [0.977, 0.660, 0.594], [0.977, 0.840, 0.094]],
  "space_group": "No. 14",
  "m_tot_mub_per_cell": 20.0,
  "mass_density_g_cm3": 2.160
}

Entry Q
{
  "formula": "LiFeC2O6",
  "functional": "PBE with a Hubbard U",
  "state": "relaxed",
  "cell": [[2.350, -5.277, 0.001], [4.699, 4.230, 3.932], [-4.699, -2.093, 7.867]],
  "species": ["O", "Fe", "O", "O", "O", "O", "Fe", "Li", "O", "Li", "O", "C", "C", "O", "Li", "C", "O", "O", "O", "O", "O", "O", "O", "C", "O", "Fe", "O", "Li", "O", "O", "C", "O", "O", "C", "C", "C", "Fe", "O", "O", "O"],
  "frac_coords": [[0.001, 0.736, 0.888], [0.500, 0.000, 0.250], [0.999, 0.264, 0.112], [0.847, 0.113, 0.312], [0.123, 0.388, 0.826], [0.153, 0.887, 0.188], [0.000, 0.500, 0.500], [0.500, 0.500, 0.750], [0.499, 0.764, 0.862], [0.000, 0.000, 0.000], [0.623, 0.888, 0.575], [0.512, 0.244, 0.000], [0.012, 0.744, 0.250], [0.623, 0.888, 0.075], [0.000, 0.000, 0.500], [0.488, 0.756, 0.000], [0.877, 0.612, 0.175], [0.501, 0.236, 0.138], [0.153, 0.887, 0.688], [0.652, 0.387, 0.938], [0.348, 0.613, 0.062], [0.348, 0.613, 0.562], [0.001, 0.736, 0.388], [0.512, 0.244, 0.500], [0.499, 0.764, 0.362], [0.500, 0.000, 0.750], [0.847, 0.113, 0.812], [0.500, 0.500, 0.250], [0.652, 0.387, 0.438], [0.123, 0.388, 0.326], [0.988, 0.256, 0.750], [0.377, 0.112, 0.924], [0.377, 0.112, 0.424], [0.488, 0.756, 0.500], [0.988, 0.256, 0.250], [0.012, 0.744, 0.750], [0.000, 0.500, 0.000], [0.877, 0.612, 0.675], [0.501, 0.236, 0.638], [0.999, 0.264, 0.612]],
  "mass_density_g_cm3": 3.113
}

Entry R
{
  "formula": "LiFeC2O6",
  "functional": "PBE with a Hubbard U",
  "state": "relaxed",
  "cell": [[5.172, 0.000, 0.000], [0.000, 7.779, 0.000], [-2.360, 0.000, 5.928]],
  "species": ["Li", "Li", "Fe", "Fe", "C", "C", "C", "C", "O", "O", "O", "O", "O", "O", "O", "O", "O", "O", "O", "O"],
  "frac_coords": [[0.052, 0.000, 0.434], [0.948, 0.500, 0.566], [0.257, 0.562, 0.228], [0.743, 0.062, 0.772], [0.012, 0.797, 0.866], [0.471, 0.325, 0.613], [0.529, 0.825, 0.387], [0.988, 0.297, 0.134], [0.123, 0.931, 0.811], [0.136, 0.649, 0.912], [0.238, 0.317, 0.131], [0.262, 0.816, 0.346], [0.333, 0.466, 0.554], [0.356, 0.182, 0.640], [0.644, 0.682, 0.360], [0.667, 0.966, 0.446], [0.738, 0.316, 0.654], [0.762, 0.817, 0.869], [0.864, 0.149, 0.088], [0.877, 0.431, 0.189]],
  "space_group": "No. 4",
  "m_tot_mub_per_cell": 10.0,
  "e_ij_max_c_m2": 0.39,
  "mass_density_g_cm3": 2.546
}

So which one is most stable? That would be entry Q, about 7.5 kJ/mol of atoms below the next structure.